Run w
A plane-wave DFT calculation with GGA-PBE was carried out for an optimized crystal structure of Na2MgSi5O12.

a b c (Å): 5.3338 8.7380 9.3452
angles (deg): 90.00 104.55 90.00
Positions (direct):
Na  0.0000  0.0429  0.2500
Na  0.0000  0.9571  0.7500
Na  0.5000  0.4485  0.2500
Na  0.5000  0.5515  0.7500
Mg  0.5000  0.1539  0.7500
Mg  0.5000  0.8461  0.2500
Si  0.0000  0.3479  0.7500
Si  0.0000  0.6521  0.2500
Si  0.1806  0.3486  0.4556
Si  0.1806  0.6514  0.9556
Si  0.3020  0.1656  0.0366
Si  0.3020  0.8344  0.5366
Si  0.6980  0.1656  0.4634
Si  0.6980  0.8344  0.9634
Si  0.8194  0.3486  0.0445
Si  0.8194  0.6514  0.5444
O  0.1007  0.2663  0.1121
O  0.1007  0.7337  0.6121
O  0.1824  0.4856  0.8756
O  0.1824  0.5144  0.3756
O  0.2004  0.1937  0.8558
O  0.2004  0.8063  0.3558
O  0.2390  0.3440  0.6381
O  0.2390  0.6560  0.1381
O  0.3086  0.0041  0.5984
O  0.3086  0.9959  0.0984
O  0.4142  0.2537  0.4086
O  0.4142  0.7463  0.9086
O  0.5858  0.2537  0.0914
O  0.5858  0.7463  0.5914
O  0.6914  0.0041  0.9016
O  0.6914  0.9959  0.4016
O  0.7610  0.3440  0.8619
O  0.7610  0.6560  0.3619
O  0.7996  0.1937  0.6442
O  0.7996  0.8063  0.1442
O  0.8176  0.4856  0.6244
O  0.8176  0.5144  0.1244
O  0.8993  0.2663  0.3879
O  0.8993  0.7337  0.8879

Values from the calculation:
Crystal system: monoclinic

***

Run x
A plane-wave DFT calculation with GGA-PBE was carried out for an optimized crystal structure of Na2MgSi5O12.

a b c (Å): 9.9852 9.9852 9.9852
angles (deg): 109.38 109.38 109.65
Positions (direct):
Na  0.1244  0.2500  0.3744
Na  0.2500  0.3756  0.1256
Na  0.2500  0.8756  0.6256
Na  0.3756  0.7500  0.1256
Na  0.6244  0.2500  0.8744
Na  0.7500  0.1244  0.3744
Na  0.7500  0.6244  0.8744
Na  0.8756  0.7500  0.6256
Mg  0.1250  0.3750  0.7500
Mg  0.3750  0.1250  0.2500
Mg  0.6250  0.8750  0.7500
Mg  0.8750  0.6250  0.2500
Si  0.0000  0.0000  0.0000
Si  0.0000  0.0000  0.5000
Si  0.0000  0.5000  0.0000
Si  0.0000  0.5000  0.5000
Si  0.1245  0.7500  0.8745
Si  0.1250  0.8750  0.2500
Si  0.2500  0.1245  0.8745
Si  0.2500  0.6245  0.3745
Si  0.3750  0.6250  0.7500
Si  0.3755  0.2500  0.6255
Si  0.5000  0.0000  0.0000
Si  0.5000  0.0000  0.5000
Si  0.5000  0.5000  0.0000
Si  0.5000  0.5000  0.5000
Si  0.6245  0.7500  0.3745
Si  0.6250  0.3750  0.2500
Si  0.7500  0.3755  0.6255
Si  0.7500  0.8755  0.1255
Si  0.8750  0.1250  0.7500
Si  0.8755  0.2500  0.1255
O  0.0050  0.1882  0.1078
O  0.0105  0.3195  0.8899
O  0.0705  0.8795  0.3899
O  0.0804  0.6882  0.6832
O  0.1020  0.6103  0.4203
O  0.1028  0.9950  0.6832
O  0.1103  0.6020  0.9203
O  0.1205  0.0105  0.1910
O  0.1805  0.4895  0.6101
O  0.1817  0.1900  0.5797
O  0.1882  0.5804  0.1832
O  0.1900  0.1103  0.0083
O  0.3100  0.3183  0.9203
O  0.3118  0.4950  0.3922
O  0.3183  0.8980  0.0083
O  0.3195  0.9295  0.3090
O  0.3795  0.5705  0.8899
O  0.3897  0.3100  0.4917
O  0.3972  0.0804  0.8922
O  0.3980  0.8183  0.5083
O  0.4196  0.1028  0.6078
O  0.4295  0.8195  0.8090
O  0.4895  0.3795  0.3090
O  0.4950  0.6028  0.1832
O  0.5050  0.3972  0.8168
O  0.5105  0.6205  0.6910
O  0.5705  0.1805  0.1910
O  0.5804  0.8972  0.3922
O  0.6020  0.1817  0.4917
O  0.6028  0.9196  0.1078
O  0.6103  0.6900  0.5083
O  0.6205  0.4295  0.1101
O  0.6805  0.0705  0.6910
O  0.6817  0.1020  0.9917
O  0.6882  0.5050  0.6078
O  0.6900  0.6817  0.0797
O  0.8100  0.8897  0.9917
O  0.8118  0.4196  0.8168
O  0.8183  0.8100  0.4203
O  0.8195  0.5105  0.3899
O  0.8795  0.9895  0.8090
O  0.8897  0.3980  0.0797
O  0.8972  0.0050  0.3168
O  0.8980  0.3897  0.5797
O  0.9196  0.3118  0.3168
O  0.9295  0.1205  0.6101
O  0.9895  0.6805  0.1101
O  0.9950  0.8118  0.8922

Values from the calculation:
Crystal system: tetragonal

***

run w is the most stable structure; the next one sits 71 meV/atom above it.

***

Run w
A plane-wave DFT calculation with GGA-PBE was carried out for an optimized crystal structure of Na2Sm2MgTi3O10.

a b c (Å): 15.8833 15.8833 15.8833
angles (deg): 165.84 165.84 20.08
Positions (direct):
Na  0.2160  0.2160  0.0000
Na  0.7840  0.7840  0.0000
Sm  0.0971  0.0971  0.0000
Sm  0.9029  0.9029  0.0000
Mg  0.0000  0.0000  0.0000
Ti  0.3454  0.3454  0.0000
Ti  0.5000  0.5000  0.0000
Ti  0.6546  0.6546  0.0000
O  0.0000  0.5000  0.5000
O  0.1397  0.6397  0.5000
O  0.2891  0.2891  0.0000
O  0.3603  0.8603  0.5000
O  0.4327  0.4327  0.0000
O  0.5000  0.0000  0.5000
O  0.5673  0.5673  0.0000
O  0.6397  0.1397  0.5000
O  0.7109  0.7109  0.0000
O  0.8603  0.3603  0.5000

Values from the calculation:
Crystal system: tetragonal

***

Run x
A plane-wave DFT calculation with GGA-PBE was carried out for an optimized crystal structure of Na2Sm2MgTi3O10.

a b c (Å): 3.8211 3.8211 17.4448
angles (deg): 96.26 96.26 89.89
Positions (direct):
Na  0.0000  0.0000  0.0000
Na  0.5637  0.5637  0.1220
Sm  0.6825  0.6825  0.3493
Sm  0.7661  0.7661  0.5916
Mg  0.9146  0.9146  0.7983
Ti  0.1277  0.1277  0.2357
Ti  0.2380  0.2380  0.4867
Ti  0.4567  0.4567  0.8849
O  0.0784  0.0784  0.1326
O  0.1412  0.6424  0.2643
O  0.2017  0.2017  0.3753
O  0.2355  0.7479  0.4950
O  0.3350  0.3350  0.6050
O  0.4406  0.9403  0.8513
O  0.5097  0.5097  0.9872
O  0.6424  0.1412  0.2643
O  0.7479  0.2355  0.4950
O  0.9403  0.4406  0.8513

Values from the calculation:
Crystal system: monoclinic

***

run x is the most stable structure; the next one sits 119 meV/atom above it.

***

Run w
A plane-wave DFT calculation with GGA-PBE was carried out for an optimized crystal structure of NaMg6TiO8.

a b c (Å): 4.2658 4.2658 8.7001
angles (deg): 90.00 90.00 90.00
Positions (direct):
Na  0.0000  0.0000  0.0000
Mg  0.0000  0.0000  0.5000
Mg  0.0000  0.5000  0.2525
Mg  0.0000  0.5000  0.7475
Mg  0.5000  0.0000  0.2525
Mg  0.5000  0.0000  0.7475
Mg  0.5000  0.5000  0.5000
Ti  0.5000  0.5000  0.0000
O  0.0000  0.0000  0.2648
O  0.0000  0.0000  0.7352
O  0.0000  0.5000  0.0000
O  0.0000  0.5000  0.5000
O  0.5000  0.0000  0.0000
O  0.5000  0.0000  0.5000
O  0.5000  0.5000  0.2439
O  0.5000  0.5000  0.7561

Values from the calculation:
Crystal system: tetragonal

***

Run x
A plane-wave DFT calculation with GGA-PBE was carried out for an optimized crystal structure of NaMg6TiO8.

a b c (Å): 4.3173 4.3173 8.6076
angles (deg): 90.00 90.00 90.00
Positions (direct):
Na  0.0000  0.0000  0.0000
Mg  0.0000  0.5000  0.2381
Mg  0.0000  0.5000  0.7619
Mg  0.5000  0.0000  0.2381
Mg  0.5000  0.0000  0.7619
Mg  0.5000  0.5000  0.0000
Mg  0.5000  0.5000  0.5000
Ti  0.0000  0.0000  0.5000
O  0.0000  0.0000  0.2710
O  0.0000  0.0000  0.7290
O  0.0000  0.5000  0.0000
O  0.0000  0.5000  0.5000
O  0.5000  0.0000  0.0000
O  0.5000  0.0000  0.5000
O  0.5000  0.5000  0.2538
O  0.5000  0.5000  0.7462

Values from the calculation:
Crystal system: tetragonal

***

run w is the most stable structure; the next one sits 15 meV/atom above it.

***

Run w
A plane-wave DFT calculation with GGA-PBE was carried out for an optimized crystal structure of NaMg14TiO16.

a b c (Å): 4.2752 8.5673 8.5719
angles (deg): 90.00 90.00 90.00
Positions (direct):
Na  0.0000  0.0000  0.0000
Mg  0.0000  0.2522  0.2437
Mg  0.0000  0.2522  0.7563
Mg  0.0000  0.5000  0.0000
Mg  0.0000  0.5000  0.5000
Mg  0.0000  0.7478  0.2437
Mg  0.0000  0.7478  0.7563
Mg  0.5000  0.0000  0.2408
Mg  0.5000  0.0000  0.7592
Mg  0.5000  0.2473  0.0000
Mg  0.5000  0.2528  0.5000
Mg  0.5000  0.5000  0.2476
Mg  0.5000  0.5000  0.7524
Mg  0.5000  0.7472  0.5000
Mg  0.5000  0.7527  0.0000
Ti  0.0000  0.0000  0.5000
O  0.0000  0.0000  0.2677
O  0.0000  0.0000  0.7323
O  0.0000  0.2475  0.5000
O  0.0000  0.2642  0.0000
O  0.0000  0.5000  0.2552
O  0.0000  0.5000  0.7448
O  0.0000  0.7358  0.0000
O  0.0000  0.7525  0.5000
O  0.5000  0.0000  0.0000
O  0.5000  0.0000  0.5000
O  0.5000  0.2488  0.2517
O  0.5000  0.2488  0.7483
O  0.5000  0.5000  0.0000
O  0.5000  0.5000  0.5000
O  0.5000  0.7512  0.2517
O  0.5000  0.7512  0.7483

Values from the calculation:
Crystal system: orthorhombic

***

Run x
A plane-wave DFT calculation with GGA-PBE was carried out for an optimized crystal structure of NaMg14TiO16.

a b c (Å): 8.5689 8.5689 4.2783
angles (deg): 90.00 90.00 90.00
Positions (direct):
Na  0.0000  0.0000  0.0000
Mg  0.0000  0.2450  0.5000
Mg  0.0000  0.5000  0.0000
Mg  0.0000  0.7550  0.5000
Mg  0.2436  0.2436  0.0000
Mg  0.2441  0.5000  0.5000
Mg  0.2436  0.7564  0.0000
Mg  0.2450  0.0000  0.5000
Mg  0.5000  0.0000  0.0000
Mg  0.5000  0.2441  0.5000
Mg  0.5000  0.7559  0.5000
Mg  0.7550  0.0000  0.5000
Mg  0.7564  0.2436  0.0000
Mg  0.7559  0.5000  0.5000
Mg  0.7564  0.7564  0.0000
Ti  0.5000  0.5000  0.0000
O  0.0000  0.0000  0.5000
O  0.0000  0.2658  0.0000
O  0.0000  0.5000  0.5000
O  0.0000  0.7342  0.0000
O  0.2519  0.2519  0.5000
O  0.2519  0.7481  0.5000
O  0.2590  0.5000  0.0000
O  0.2658  0.0000  0.0000
O  0.5000  0.0000  0.5000
O  0.5000  0.2590  0.0000
O  0.5000  0.5000  0.5000
O  0.5000  0.7410  0.0000
O  0.7342  0.0000  0.0000
O  0.7410  0.5000  0.0000
O  0.7481  0.2519  0.5000
O  0.7481  0.7481  0.5000

Values from the calculation:
Crystal system: tetragonal

***

run w is the most stable structure; the next one sits 7 meV/atom above it.

***

Run w
A plane-wave DFT calculation with GGA-PBE was carried out for an optimized crystal structure of NaYMg6O8.

a b c (Å): 4.4095 4.4095 8.8142
angles (deg): 90.00 90.00 90.00
Positions (direct):
Na  0.0000  0.0000  0.0000
Y  0.5000  0.5000  0.0000
Mg  0.0000  0.0000  0.5000
Mg  0.0000  0.5000  0.2624
Mg  0.0000  0.5000  0.7376
Mg  0.5000  0.0000  0.2624
Mg  0.5000  0.0000  0.7376
Mg  0.5000  0.5000  0.5000
O  0.0000  0.0000  0.2681
O  0.0000  0.0000  0.7319
O  0.0000  0.5000  0.0000
O  0.0000  0.5000  0.5000
O  0.5000  0.0000  0.0000
O  0.5000  0.0000  0.5000
O  0.5000  0.5000  0.2609
O  0.5000  0.5000  0.7391

Values from the calculation:
Crystal system: tetragonal

***

Run x
A plane-wave DFT calculation with GGA-PBE was carried out for an optimized crystal structure of NaYMg6O8.

a b c (Å): 4.4095 4.4095 8.9297
angles (deg): 90.00 90.00 90.00
Positions (direct):
Na  0.0000  0.0000  0.0000
Y  0.0000  0.0000  0.5000
Mg  0.0000  0.5000  0.2271
Mg  0.0000  0.5000  0.7729
Mg  0.5000  0.0000  0.2271
Mg  0.5000  0.0000  0.7729
Mg  0.5000  0.5000  0.0000
Mg  0.5000  0.5000  0.5000
O  0.0000  0.0000  0.2529
O  0.0000  0.0000  0.7471
O  0.0000  0.5000  0.0000
O  0.0000  0.5000  0.5000
O  0.5000  0.0000  0.0000
O  0.5000  0.0000  0.5000
O  0.5000  0.5000  0.2525
O  0.5000  0.5000  0.7475

Values from the calculation:
Crystal system: tetragonal

***

run w is the most stable structure; the next one sits 49 meV/atom above it.

***

Run w
A plane-wave DFT calculation with GGA-PBE was carried out for an optimized crystal structure of NaMg14Si.

a b c (Å): 10.4476 6.3261 6.3261
angles (deg): 60.14 90.00 90.00
Positions (direct):
Na  0.0000  0.0000  0.0000
Mg  0.0000  0.0013  0.4977
Mg  0.0000  0.4977  0.0013
Mg  0.2461  0.6652  0.6652
Mg  0.2488  0.1705  0.6636
Mg  0.2488  0.6636  0.1705
Mg  0.2539  0.1676  0.1676
Mg  0.5000  0.9995  0.9995
Mg  0.5000  0.4999  0.4999
Mg  0.5000  0.5007  0.9992
Mg  0.5000  0.9992  0.5007
Mg  0.7461  0.1676  0.1676
Mg  0.7512  0.1705  0.6636
Mg  0.7512  0.6636  0.1705
Mg  0.7539  0.6652  0.6652
Si  0.0000  0.4980  0.4980

Values from the calculation:
Crystal system: orthorhombic

***

Run x
A plane-wave DFT calculation with GGA-PBE was carried out for an optimized crystal structure of NaMg14Si.

a b c (Å): 6.3027 6.3027 10.4780
angles (deg): 90.00 90.00 120.00
Positions (direct):
Na  0.0000  0.0000  0.0000
Mg  0.0043  0.5022  0.0000
Mg  0.1657  0.3315  0.2569
Mg  0.1657  0.3315  0.7431
Mg  0.1657  0.8343  0.2569
Mg  0.1657  0.8343  0.7431
Mg  0.4978  0.5022  0.0000
Mg  0.4978  0.9957  0.0000
Mg  0.5017  0.0035  0.5000
Mg  0.5017  0.4983  0.5000
Mg  0.6667  0.3333  0.2460
Mg  0.6667  0.3333  0.7540
Mg  0.6685  0.8343  0.2569
Mg  0.6685  0.8343  0.7431
Mg  0.9965  0.4983  0.5000
Si  0.0000  0.0000  0.5000

Values from the calculation:
Crystal system: hexagonal

***

run w is the most stable structure; the next one sits 15 meV/atom above it.